DFT (PBE) results for InAgP2O7 after structural relaxation.

Geometry as extended XYZ:
```
44
Lattice="7.608 0.000 0.000 0.000 8.413 0.000 -3.735 0.000 9.276" Properties=species:S:1:pos:R:3 pbc="T T T"
In 0.922 0.040 2.297
In -0.946 4.166 6.935
In 4.819 4.247 2.341
In 2.951 8.372 6.979
Ag -1.007 0.228 6.449
Ag 0.861 3.978 1.811
Ag 3.012 4.435 7.466
Ag 4.879 8.184 2.827
P -0.346 5.994 4.189
P -2.214 6.625 8.827
P 1.207 2.083 5.003
P 3.075 2.123 0.364
P 0.797 6.289 8.912
P 2.665 6.329 4.274
P 6.086 1.788 0.449
P 4.219 2.418 5.087
O -0.965 4.955 3.256
O -2.833 7.664 7.894
O -2.338 5.171 8.310
O -0.471 7.448 3.672
O -0.814 5.925 5.643
O 1.053 6.694 1.004
O 0.999 1.818 3.511
O -0.869 2.388 8.149
O 2.078 1.118 0.881
O 0.211 3.089 5.520
O 1.227 5.594 4.104
O -0.641 7.025 8.742
O 1.258 0.785 5.848
O 3.126 3.421 1.210
O 0.747 4.991 8.066
O 2.614 7.627 3.428
O 4.513 1.387 0.534
O 2.646 2.819 5.173
O 3.662 5.324 3.757
O 1.794 7.295 8.395
O 4.741 6.025 1.127
O 2.874 6.594 5.765
O 2.819 1.718 8.272
O 4.687 2.488 3.634
O 4.343 0.965 5.604
O 6.211 3.242 0.966
O 6.705 0.749 1.382
O 4.837 3.457 6.020
```


DFT (PBE) results for Tb23Cd4Rh7 after structural relaxation.

Geometry as extended XYZ:
```
68
Lattice="9.765 0.000 0.000 -4.883 8.457 0.000 0.000 0.000 21.999" Properties=species:S:1:pos:R:3 pbc="T T T"
Tb 0.000 0.000 1.090
Tb 0.000 0.000 12.089
Tb -1.853 4.568 3.020
Tb -1.825 4.584 9.004
Tb 0.000 2.155 15.156
Tb -3.016 7.379 15.156
Tb 0.000 3.412 18.384
Tb -1.927 6.751 18.384
Tb 0.000 3.516 0.000
Tb 0.000 3.522 6.013
Tb -1.837 6.699 0.000
Tb -1.833 6.696 6.013
Tb 0.000 3.557 11.946
Tb -1.802 6.678 11.946
Tb 1.866 1.078 4.156
Tb 0.000 5.638 15.322
Tb 2.955 1.706 7.385
Tb 3.045 1.758 11.000
Tb 3.050 1.761 17.013
Tb 3.081 1.779 0.946
Tb 1.825 4.584 9.004
Tb 0.000 7.746 9.004
Tb 1.853 4.568 3.020
Tb 0.000 7.777 3.020
Tb 4.883 0.679 14.019
Tb 3.030 3.889 14.019
Tb 4.883 0.711 20.004
Tb 3.057 3.873 20.004
Tb 1.802 6.678 11.946
Tb 1.837 6.699 0.000
Tb 1.833 6.696 6.013
Tb 1.927 6.751 18.384
Tb 4.883 2.819 4.323
Tb 3.016 7.379 15.156
Tb 6.684 1.779 0.946
Tb 4.883 4.900 0.946
Tb 6.720 1.758 11.000
Tb 6.715 1.761 17.013
Tb 4.883 4.941 11.000
Tb 4.883 4.935 17.013
Tb 6.810 1.706 7.385
Tb 4.883 5.045 7.385
Tb 7.899 1.078 4.156
Tb 4.883 6.302 4.156
Tb 6.708 3.873 20.004
Tb 6.735 3.889 14.019
Cd 0.000 0.000 6.655
Cd 0.000 0.000 17.655
Cd 0.000 1.821 9.158
Cd -3.306 7.546 9.158
Cd 1.577 0.910 20.158
Cd 3.306 7.546 9.158
Cd 8.188 0.910 20.158
Cd 4.883 6.636 20.158
Rh -2.121 4.413 16.765
Rh 0.000 2.421 2.565
Rh -2.786 7.247 2.565
Rh 2.096 1.210 13.564
Rh 0.000 5.638 20.137
Rh 2.121 4.413 16.765
Rh 0.000 8.087 16.765
Rh 4.883 0.370 5.765
Rh 2.762 4.043 5.765
Rh 4.883 2.819 9.137
Rh 2.786 7.247 2.565
Rh 7.669 1.210 13.564
Rh 4.883 6.036 13.564
Rh 7.003 4.043 5.765
```


| no. | raw total energy (eV/atom) |
| --- | --- |
| 1 | -6.479 |
| 2 | -5.274 |